Entry from the Materials Project database: crystalline Sr2Si3 at its relaxed geometry (GGA-PBE).

## Properties
- M_tot (Bohr magnetons per cell) = 0.0
- V (Å³/cell) = 138.0
- calculated formation energy (kJ/mol of formula units) = -131
- total energy (eV per atom) = -4.25
- space-group type = Imm2, No. 44

a b c (Å): 8.0845 8.0845 8.0845
angles (deg): 151.88 146.22 44.51
Fractional coordinates of all 5 atoms:
Si 0.4236 0.4236 0.0000
Si 0.3319 0.8319 0.5000
Si 0.5779 0.5779 0.0000
Sr 0.0048 0.0048 0.0000
Sr 0.7468 0.2468 0.5000